Na2Ca4Ti4SiS11O48, optimized geometry, DFT PBE-GGA; energy of formation = -238.21 kJ per mole of atoms; spin magnetization = 0.000 μB/f.u.; MP2020-corrected energy = -1510.50 eV/cell
1.0
8.901 0.000 0.000
0.012 15.448 0.000
0.020 0.013 23.218
Na Ca Ti Si S O
6 12 12 3 33 144
Direct
0.000 0.000 0.000 Na
0.001 0.002 0.509 Na
0.500 0.841 0.672 Na
0.505 0.498 0.009 Na
0.506 0.502 0.503 Na
0.995 0.341 0.167 Na
0.002 0.999 0.655 Ca
0.003 0.676 0.190 Ca
0.003 0.999 0.854 Ca
0.005 0.002 0.152 Ca
0.006 0.336 0.534 Ca
0.009 0.005 0.354 Ca
0.502 0.503 0.353 Ca
0.502 0.507 0.852 Ca
0.504 0.174 0.474 Ca
0.505 0.507 0.656 Ca
0.507 0.504 0.151 Ca
0.998 0.334 0.029 Ca
0.001 0.677 0.482 Ti
0.002 0.341 0.322 Ti
0.003 0.673 0.979 Ti
0.008 0.339 0.820 Ti
0.504 0.840 0.315 Ti
0.509 0.174 0.689 Ti
0.509 0.177 0.190 Ti
0.512 0.181 0.983 Ti
0.514 0.839 0.527 Ti
0.515 0.842 0.025 Ti
0.516 0.839 0.827 Ti
0.992 0.680 0.688 Ti
0.648 0.316 0.088 Si
0.797 0.837 0.926 Si
0.860 0.815 0.583 Si
0.142 0.487 0.423 S
0.143 0.196 0.419 S
0.150 0.532 0.083 S
0.157 0.816 0.079 S
0.162 0.162 0.754 S
0.167 0.846 0.753 S
0.189 0.506 0.754 S
0.226 0.833 0.425 S
0.234 0.168 0.087 S
0.285 0.676 0.583 S
0.296 0.333 0.921 S
0.315 0.006 0.254 S
0.345 0.348 0.254 S
0.359 0.700 0.925 S
0.360 0.661 0.257 S
0.367 0.024 0.586 S
0.368 0.314 0.590 S
0.372 0.982 0.924 S
0.640 0.030 0.083 S
0.644 0.972 0.421 S
0.652 0.699 0.424 S
0.659 0.664 0.754 S
0.665 0.349 0.754 S
0.687 0.004 0.754 S
0.713 0.676 0.080 S
0.721 0.340 0.420 S
0.787 0.170 0.589 S
0.814 0.498 0.257 S
0.844 0.856 0.257 S
0.852 0.161 0.254 S
0.852 0.195 0.920 S
0.867 0.538 0.586 S
0.868 0.486 0.920 S
0.063 0.572 0.428 O
0.075 0.110 0.414 O
0.081 0.129 0.705 O
0.082 0.442 0.369 O
0.085 0.902 0.079 O
0.087 0.578 0.739 O
0.088 0.444 0.080 O
0.088 0.765 0.030 O
0.088 0.879 0.804 O
0.089 0.236 0.472 O
0.091 0.252 0.367 O
0.091 0.428 0.770 O
0.096 0.584 0.031 O
0.097 0.571 0.136 O
0.099 0.251 0.770 O
0.099 0.758 0.739 O
0.118 0.434 0.474 O
0.129 0.910 0.423 O
0.133 0.753 0.433 O
0.139 0.091 0.087 O
0.140 0.771 0.133 O
0.149 0.249 0.088 O
0.152 0.105 0.805 O
0.152 0.902 0.703 O
0.179 0.336 0.265 O
0.190 0.666 0.531 O
0.193 0.694 0.930 O
0.194 0.324 0.869 O
0.194 0.686 0.636 O
0.202 0.680 0.250 O
0.205 0.316 0.594 O
0.206 0.009 0.593 O
0.208 0.346 0.973 O
0.210 0.990 0.919 O
0.225 0.026 0.304 O
0.225 0.982 0.204 O
0.280 0.528 0.804 O
0.282 0.481 0.705 O
0.305 0.502 0.416 O
0.306 0.194 0.414 O
0.315 0.532 0.080 O
0.316 0.822 0.372 O
0.321 0.826 0.067 O
0.325 0.177 0.739 O
0.327 0.842 0.476 O
0.328 0.164 0.033 O
0.329 0.167 0.140 O
0.330 0.832 0.765 O
0.360 0.404 0.203 O
0.379 0.757 0.578 O
0.383 0.599 0.586 O
0.385 0.249 0.926 O
0.388 0.608 0.307 O
0.389 0.753 0.870 O
0.398 0.072 0.534 O
0.401 0.405 0.912 O
0.403 0.926 0.975 O
0.406 0.258 0.241 O
0.413 0.927 0.269 O
0.420 0.077 0.241 O
0.420 0.259 0.641 O
0.420 0.382 0.304 O
0.423 0.275 0.537 O
0.423 0.745 0.975 O
0.426 0.615 0.920 O
0.431 0.065 0.639 O
0.433 0.750 0.271 O
0.433 0.936 0.871 O
0.436 0.401 0.595 O
0.436 0.629 0.205 O
0.445 0.934 0.582 O
0.449 0.065 0.929 O
0.561 0.406 0.084 O
0.566 0.942 0.075 O
0.570 0.056 0.422 O
0.581 0.067 0.136 O
0.583 0.928 0.767 O
0.584 0.383 0.804 O
0.585 0.254 0.143 O
0.585 0.613 0.424 O
0.586 0.629 0.702 O
0.587 0.079 0.741 O
0.587 0.924 0.370 O
0.588 0.259 0.028 O
0.588 0.745 0.476 O
0.595 0.753 0.764 O
0.602 0.921 0.475 O
0.603 0.083 0.031 O
0.603 0.260 0.740 O
0.612 0.754 0.071 O
0.618 0.599 0.080 O
0.622 0.416 0.416 O
0.624 0.749 0.371 O
0.639 0.259 0.415 O
0.641 0.610 0.804 O
0.654 0.405 0.704 O
0.673 0.817 0.575 O
0.673 0.846 0.978 O
0.675 0.848 0.269 O
0.680 0.170 0.642 O
0.682 0.825 0.868 O
0.683 0.190 0.925 O
0.686 0.171 0.241 O
0.699 0.162 0.537 O
0.702 0.534 0.588 O
0.708 0.502 0.911 O
0.719 0.509 0.308 O
0.726 0.477 0.205 O
0.775 0.979 0.703 O
0.779 0.024 0.804 O
0.791 0.693 0.134 O
0.804 0.019 0.085 O
0.808 0.977 0.421 O
0.810 0.347 0.473 O
0.820 0.692 0.431 O
0.821 0.667 0.031 O
0.826 0.313 0.095 O
0.826 0.674 0.742 O
0.827 0.341 0.367 O
0.828 0.336 0.769 O
0.857 0.909 0.205 O
0.867 0.253 0.594 O
0.868 0.107 0.305 O
0.886 0.095 0.596 O
0.888 0.252 0.869 O
0.888 0.434 0.972 O
0.893 0.746 0.936 O
0.898 0.757 0.642 O
0.898 0.768 0.251 O
0.898 0.920 0.923 O
0.911 0.251 0.264 O
0.911 0.587 0.533 O
0.912 0.897 0.307 O
0.913 0.108 0.910 O
0.915 0.231 0.972 O
0.916 0.418 0.267 O
0.916 0.571 0.250 O
0.923 0.584 0.639 O
0.927 0.125 0.203 O
0.928 0.758 0.528 O
0.932 0.908 0.583 O
0.934 0.440 0.868 O
0.939 0.454 0.586 O
0.949 0.571 0.926 O